(1)
r²SCAN Ba3Re2O9, optimized geometry; space-group type = No. 166; formation energy = -2.428 eV/atom; calculated volume = 14.22 Å³/atom
1.0
-0.295 7.396 2.156
-5.543 5.133 1.536
-2.414 3.899 6.197
Ba O Re
3 9 2
Direct
0.211 0.211 0.211 Ba
0.789 0.789 0.789 Ba
0.000 0.000 0.000 Ba
0.754 0.279 0.279 O
0.721 0.246 0.721 O
0.279 0.279 0.754 O
0.500 0.000 0.500 O
0.246 0.721 0.721 O
0.721 0.721 0.246 O
0.279 0.754 0.279 O
0.000 0.500 0.500 O
0.500 0.500 0.000 O
0.608 0.608 0.608 Re
0.392 0.392 0.392 Re

(2)
r²SCAN Ba2YbReO6, optimized geometry; space-group type = No. 225; formation energy = -2.934 eV/atom; calculated volume = 14.48 Å³/atom
1.0
4.234 0.038 4.100
1.530 -5.010 2.702
5.223 -2.484 -1.135
O Ba Yb Re
6 2 1 1
Direct
0.238 0.762 0.238 O
0.762 0.762 0.238 O
0.762 0.238 0.762 O
0.238 0.238 0.762 O
0.762 0.238 0.238 O
0.238 0.762 0.762 O
0.250 0.250 0.250 Ba
0.750 0.750 0.750 Ba
0.500 0.500 0.500 Yb
0.000 0.000 0.000 Re

(3)
r²SCAN BaRuO3, optimized geometry; space-group type = No. 12; formation energy = -2.020 eV/atom; calculated volume = 13.95 Å³/atom
1.0
5.392 0.003 5.823
2.274 4.871 5.840
-0.036 0.004 7.934
Ba Ru O
3 3 9
Direct
0.218 0.218 0.218 Ba
0.782 0.782 0.782 Ba
0.000 0.000 0.000 Ba
0.500 0.500 0.500 Ru
0.384 0.381 0.384 Ru
0.616 0.619 0.616 Ru
0.282 0.287 0.755 O
0.712 0.249 0.712 O
0.718 0.713 0.245 O
0.500 0.500 0.000 O
0.755 0.287 0.282 O
0.000 0.500 0.500 O
0.245 0.713 0.718 O
0.288 0.751 0.288 O
0.500 0.000 0.500 O